Compound: Al4Tc
Source: the Materials Project database
Functional: r2SCAN
Structure: optimized geometry

As for the formation energy: -0.41 eV/atom.

The structure belongs to space group Cm (No. 8); the cell edges are 5.161, 17.479 and 5.105 Å and the angles 90.00°, 100.54° and 90.00°. The inequivalent atoms are Al at (0.000, 0.000, 0.000), Al at (0.002, 0.424, 0.176), Al at (0.021, 0.126, 0.297), Al at (0.042, 0.267, 0.076), Al at (0.173, 0.381, 0.710), Al at (0.344, 0.000, 0.637), Al at (0.371, 0.248, 0.557), Tc at (0.182, 0.138, 0.820) and Tc at (0.338, 0.500, 0.484).

Compound: DyGaPt
Source: the Materials Project database
Functional: r2SCAN
Structure: optimized geometry

As for the formation energy: -1.23 eV/atom.

The structure belongs to space group Pnma (No. 62); the cell edges are 6.922, 4.411 and 7.592 Å and the angles 90.00°, 90.00° and 90.00°. The inequivalent atoms are Dy at (0.014, 0.250, 0.200), Ga at (0.174, 0.250, 0.577) and Pt at (0.221, 0.750, 0.404).

Compound: NbNi
Source: the Materials Project database
Functional: r2SCAN
Structure: optimized geometry

As for the formation energy: 0.17 eV/atom.

The structure belongs to space group P-6m2 (No. 187); the cell edges are 2.7985, 2.7985 and 4.3040 Å and the angles 90.00°, 90.00° and 120.00°. The inequivalent atoms are Nb at (0.0000, 0.0000, 0.0000) and Ni at (0.6667, 0.3333, 0.5000).